DFT (PBE+U) results for Na2TeW2O9 after structural relaxation.

Cell lengths 7.447, 13.279, 17.222 Å; angles 108.18, 102.49, 90.00 degrees
Atoms (fractional coordinates):
Na 0.255 0.264 0.991
Na 0.736 0.764 0.991
Na 0.712 0.118 0.396
Na 0.684 0.618 0.396
Na 0.977 0.029 0.001
Na 0.024 0.529 0.001
Na 0.896 0.106 0.806
Na 0.911 0.606 0.806
Na 0.824 0.371 0.619
Na 0.795 0.871 0.619
Na 0.563 0.106 0.610
Na 0.047 0.606 0.610
Na 0.316 0.354 0.599
Na 0.283 0.854 0.599
Na 0.575 0.405 0.201
Na 0.626 0.905 0.201
Te 0.215 0.124 0.423
Te 0.208 0.624 0.423
Te 0.488 0.007 0.005
Te 0.517 0.507 0.005
Te 0.053 0.388 0.172
Te 0.119 0.888 0.172
Te 0.384 0.092 0.785
Te 0.401 0.592 0.785
W 0.653 0.335 0.784
W 0.132 0.835 0.784
W 0.150 0.341 0.802
W 0.653 0.841 0.802
W 0.756 0.280 0.997
W 0.240 0.780 0.997
W 0.026 0.105 0.604
W 0.579 0.605 0.604
W 0.824 0.167 0.197
W 0.374 0.667 0.197
W 0.954 0.861 0.413
W 0.459 0.361 0.413
W 0.469 0.866 0.423
W 0.954 0.366 0.423
W 0.329 0.161 0.190
W 0.860 0.661 0.190
O 0.720 0.475 0.819
O 0.099 0.975 0.819
O 0.598 0.303 0.671
O 0.073 0.803 0.671
O 0.900 0.286 0.794
O 0.893 0.786 0.794
O 0.405 0.362 0.799
O 0.394 0.862 0.799
O 0.715 0.349 0.917
O 0.202 0.849 0.917
O 0.581 0.177 0.775
O 0.194 0.677 0.775
O 0.199 0.407 0.917
O 0.719 0.907 0.917
O 0.080 0.450 0.763
O 0.683 0.950 0.763
O 0.223 0.197 0.826
O 0.603 0.697 0.826
O 0.116 0.243 0.678
O 0.562 0.743 0.678
O 0.554 0.189 0.969
O 0.415 0.689 0.969
O 0.922 0.187 0.961
O 0.039 0.687 0.961
O 0.840 0.283 0.126
O 0.286 0.783 0.126
O 0.987 0.400 0.063
O 0.076 0.900 0.063
O 0.578 0.399 0.056
O 0.478 0.899 0.056
O 0.891 0.064 0.666
O 0.775 0.564 0.666
O 0.842 0.145 0.537
O 0.695 0.645 0.537
O 0.231 0.121 0.534
O 0.303 0.621 0.534
O 0.993 0.947 0.527
O 0.533 0.447 0.527
O 0.275 0.046 0.667
O 0.393 0.546 0.667
O 0.804 0.071 0.248
O 0.443 0.571 0.248
O 0.927 0.287 0.286
O 0.359 0.787 0.286
O 0.578 0.217 0.195
O 0.617 0.717 0.195
O 0.066 0.129 0.169
O 0.103 0.629 0.169
O 0.721 0.068 0.079
O 0.357 0.568 0.079
O 0.882 0.959 0.364
O 0.482 0.459 0.364
O 0.211 0.886 0.416
O 0.205 0.386 0.416
O 0.706 0.806 0.405
O 0.699 0.306 0.405
O 0.951 0.748 0.300
O 0.348 0.248 0.300
O 0.045 0.731 0.459
O 0.414 0.231 0.459
O 0.506 0.986 0.397
O 0.891 0.486 0.397
O 0.533 0.915 0.536
O 0.003 0.415 0.536
O 0.405 0.713 0.420
O 0.015 0.213 0.420
O 0.393 0.041 0.212
O 0.819 0.541 0.212
O 0.318 0.098 0.064
O 0.747 0.598 0.064
O 0.249 0.299 0.149
O 0.900 0.799 0.149

The volume is 1575.5 Å³ per cell. The calculation puts the calculated density at 5778 kg/m³. As for the space group: Cc. For the corrected total energy (MP2020 scheme), the calculation gives -7.521 eV per atom.


DFT (PBE+U) results for SrV2CuO7 after structural relaxation.

Cell lengths 5.539, 7.516, 14.705 Å; angles 90.00, 90.00, 90.00 degrees
Atoms (fractional coordinates):
Sr 0.250 0.616 0.699
Sr 0.750 0.384 0.301
Sr 0.750 0.116 0.801
Sr 0.250 0.884 0.199
V 0.250 0.357 0.888
V 0.750 0.643 0.112
V 0.750 0.857 0.612
V 0.250 0.143 0.388
V 0.250 0.886 0.911
V 0.750 0.114 0.089
V 0.750 0.386 0.589
V 0.250 0.614 0.411
Cu 0.250 0.111 0.636
Cu 0.750 0.889 0.364
Cu 0.750 0.611 0.864
Cu 0.250 0.389 0.136
O 0.250 0.427 0.995
O 0.750 0.573 0.005
O 0.750 0.927 0.505
O 0.250 0.073 0.495
O 0.250 0.117 0.870
O 0.750 0.883 0.130
O 0.750 0.617 0.630
O 0.250 0.383 0.370
O 0.003 0.564 0.172
O 0.503 0.436 0.828
O 0.997 0.064 0.328
O 0.497 0.936 0.672
O 0.997 0.436 0.828
O 0.497 0.564 0.172
O 0.003 0.936 0.672
O 0.503 0.064 0.328
O 0.502 0.704 0.358
O 0.002 0.296 0.642
O 0.498 0.204 0.142
O 0.998 0.796 0.858
O 0.498 0.296 0.642
O 0.998 0.704 0.358
O 0.502 0.796 0.858
O 0.002 0.204 0.142
O 0.250 0.635 0.525
O 0.750 0.365 0.475
O 0.750 0.135 0.975
O 0.250 0.865 0.025

The volume is 612.2 Å³ per cell. The calculation puts the calculated density at 3961 kg/m³. As for the space group: Pnma. For the corrected total energy (MP2020 scheme), the calculation gives -7.674 eV per atom.


DFT (PBE+U) results for Be2CoN2O6F8 after structural relaxation.

Cell lengths 12.549, 6.076, 8.431 Å; angles 81.60, 90.00, 90.00 degrees
Atoms (fractional coordinates):
Be 0.113 0.217 0.421
Be 0.613 0.783 0.079
Be 0.887 0.783 0.579
Be 0.387 0.217 0.921
Co 0.500 0.000 0.500
Co 0.000 0.000 0.000
N 0.830 0.464 0.375
N 0.330 0.536 0.125
N 0.170 0.536 0.625
N 0.670 0.464 0.875
O 0.594 0.104 0.628
O 0.094 0.896 0.872
O 0.406 0.896 0.372
O 0.906 0.104 0.128
O 0.590 0.151 0.362
O 0.090 0.849 0.138
O 0.410 0.849 0.638
O 0.910 0.151 0.862
O 0.458 0.279 0.498
O 0.958 0.721 0.002
O 0.542 0.721 0.502
O 0.042 0.279 0.998
F 0.294 0.512 0.275
F 0.794 0.488 0.225
F 0.706 0.488 0.725
F 0.206 0.512 0.775
F 0.165 0.010 0.427
F 0.665 0.990 0.073
F 0.835 0.990 0.573
F 0.335 0.010 0.927
F 0.050 0.375 0.323
F 0.550 0.625 0.177
F 0.950 0.625 0.677
F 0.450 0.375 0.823
F 0.137 0.303 0.612
F 0.637 0.697 0.888
F 0.863 0.697 0.388
F 0.363 0.303 0.112

The volume is 635.9 Å³ per cell. The calculation puts the calculated density at 1843 kg/m³. As for the space group: P2_1/c. For the corrected total energy (MP2020 scheme), the calculation gives -4.891 eV per atom.


In the order shown, the computed magnetization values come out to 0.00, 1.00, 11.00 μB/f.u..